Below is a relaxed structure of LiAsH6O3F6, with properties calculated at the PBE-GGA level.

Output
Space-group type: No. 186
Total DFT energy (no corrections), eV/atom: -4.78
Calculated formation energy, eV/f.u.: -32.8

abc: 8.5426 8.5426 5.5926
angles: 90.00 90.00 120.00
Positions (direct):
Li1 0.0000 0.0000 0.0000
Li2 0.0000 0.0000 0.5000
As1 0.3333 0.6667 0.1261
As2 0.6667 0.3333 0.6261
H1 0.0594 0.3003 0.7552
H2 0.0594 0.7591 0.7552
H3 0.2409 0.3003 0.7552
H4 0.2409 0.9406 0.7552
H5 0.3003 0.0594 0.2552
H6 0.3003 0.2409 0.2552
H7 0.6997 0.7591 0.7552
H8 0.6997 0.9406 0.7552
H9 0.7591 0.0594 0.2552
H10 0.7591 0.6997 0.2552
H11 0.9406 0.2409 0.2552
H12 0.9406 0.6997 0.2552
O1 0.1101 0.2202 0.7495
O2 0.1101 0.8899 0.7495
O3 0.2202 0.1101 0.2495
O4 0.7798 0.8899 0.7495
O5 0.8899 0.1101 0.2495
O6 0.8899 0.7798 0.2495
F1 0.1371 0.5685 0.9419
F2 0.2349 0.4698 0.3073
F3 0.2349 0.7651 0.3073
F4 0.4315 0.5685 0.9419
F5 0.4315 0.8629 0.9419
F6 0.4698 0.2349 0.8073
F7 0.5302 0.7651 0.3073
F8 0.5685 0.1371 0.4419
F9 0.5685 0.4315 0.4419
F10 0.7651 0.2349 0.8073
F11 0.7651 0.5302 0.8073
F12 0.8629 0.4315 0.4419